1.
TlV2AgO6, relaxed, DFT GGA+U; DFT total energy = -6.452 eV/atom; DFT formation energy = -19.0 eV/f.u.
1.0
-6.140 -3.487 -2.822
-1.213 -3.912 6.407
-4.378 3.244 2.486
Ag O V Tl
2 12 4 2
direct
0.896 0.104 0.250
0.104 0.896 0.750
0.207 0.044 0.356
0.572 0.111 0.227
0.330 0.351 0.017
0.111 0.572 0.727
0.044 0.207 0.856
0.956 0.793 0.144
0.793 0.956 0.644
0.351 0.330 0.517
0.889 0.428 0.273
0.649 0.670 0.483
0.428 0.889 0.773
0.670 0.649 0.983
0.796 0.633 0.218
0.367 0.204 0.282
0.204 0.367 0.782
0.633 0.796 0.718
0.285 0.715 0.250
0.715 0.285 0.750

=====

2.
UAg2W2O10, relaxed, DFT GGA+U; DFT total energy = -7.288 eV/atom; DFT formation energy = -32.7 eV/f.u.; E above lowest polymorph = 0 meV/atom
1.0
7.642 0.000 0.000
0.000 8.607 0.000
0.000 1.200 13.094
O Ag U W
40 8 4 8
direct
0.121 0.376 0.666
0.403 0.583 0.670
0.882 0.040 0.390
0.840 0.586 0.665
0.346 0.148 0.732
0.148 0.666 0.465
0.121 0.685 0.798
0.396 0.851 0.768
0.377 0.995 0.392
0.097 0.583 0.170
0.846 0.852 0.768
0.896 0.149 0.732
0.111 0.332 0.037
0.611 0.668 0.463
0.648 0.334 0.035
0.382 0.960 0.110
0.352 0.666 0.965
0.379 0.376 0.166
0.604 0.149 0.232
0.154 0.148 0.232
0.379 0.685 0.298
0.104 0.851 0.268
0.340 0.414 0.835
0.621 0.624 0.834
0.889 0.668 0.963
0.389 0.332 0.537
0.123 0.995 0.892
0.852 0.334 0.535
0.660 0.586 0.165
0.879 0.624 0.334
0.877 0.005 0.108
0.879 0.315 0.202
0.118 0.960 0.610
0.623 0.005 0.608
0.654 0.852 0.268
0.903 0.417 0.830
0.621 0.315 0.702
0.597 0.417 0.330
0.618 0.040 0.890
0.160 0.414 0.335
0.617 0.196 0.452
0.869 0.802 0.539
0.117 0.804 0.048
0.383 0.804 0.548
0.631 0.802 0.039
0.131 0.198 0.461
0.883 0.196 0.952
0.369 0.198 0.961
0.879 0.025 0.248
0.621 0.025 0.748
0.379 0.975 0.252
0.121 0.975 0.752
0.130 0.630 0.334
0.129 0.369 0.169
0.371 0.369 0.669
0.871 0.631 0.831
0.630 0.370 0.166
0.629 0.631 0.331
0.870 0.370 0.666
0.370 0.630 0.834

=====

3.
UAg2W2O10, relaxed, DFT GGA+U; DFT total energy = -7.283 eV/atom; DFT formation energy = -32.6 eV/f.u.; E above lowest polymorph = 5 meV/atom
1.0
-1.501 -4.078 6.327
7.773 2.348 3.357
-5.410 10.276 5.340
O Ag W U
40 8 8 4
direct
0.487 0.210 0.290
0.025 0.148 0.990
0.750 0.637 0.076
0.523 0.565 0.911
0.975 0.852 0.010
0.475 0.148 0.990
0.023 0.935 0.411
0.513 0.290 0.790
0.975 0.352 0.490
0.977 0.065 0.589
0.023 0.435 0.089
0.013 0.210 0.290
0.025 0.648 0.510
0.525 0.852 0.010
0.477 0.935 0.411
0.750 0.137 0.424
0.250 0.497 0.358
0.250 0.687 0.044
0.750 0.003 0.858
0.750 0.313 0.956
0.987 0.290 0.790
0.475 0.648 0.510
0.750 0.044 0.144
0.513 0.790 0.710
0.250 0.363 0.924
0.523 0.065 0.589
0.977 0.565 0.911
0.250 0.956 0.856
0.250 0.863 0.576
0.987 0.790 0.710
0.750 0.544 0.356
0.750 0.503 0.642
0.525 0.352 0.490
0.250 0.456 0.644
0.477 0.435 0.089
0.487 0.710 0.210
0.250 0.997 0.142
0.750 0.813 0.544
0.013 0.710 0.210
0.250 0.187 0.456
0.250 0.810 0.309
0.250 0.172 0.705
0.250 0.672 0.795
0.750 0.690 0.809
0.750 0.190 0.691
0.750 0.828 0.295
0.750 0.328 0.205
0.250 0.310 0.191
0.500 0.350 0.924
0.000 0.850 0.576
0.000 0.650 0.076
0.000 0.350 0.924
0.500 0.850 0.576
0.500 0.150 0.424
0.500 0.650 0.076
0.000 0.150 0.424
0.750 0.525 0.500
0.250 0.975 0.000
0.250 0.475 0.500
0.750 0.025 0.000

=====

4.
VAgO3, relaxed, DFT GGA+U; DFT total energy = -6.279 eV/atom; DFT formation energy = -8.4 eV/f.u.
1.0
5.281 0.021 -0.697
1.937 11.810 8.849
0.906 -0.436 9.323
O Ag V
24 8 8
direct
0.876 0.118 0.857
0.168 0.846 0.464
0.124 0.882 0.143
0.376 0.834 0.793
0.228 0.056 0.177
0.329 0.405 0.463
0.237 0.597 0.083
0.884 0.408 0.615
0.808 0.499 0.273
0.289 0.033 0.760
0.192 0.501 0.727
0.705 0.952 0.533
0.763 0.403 0.917
0.700 0.711 0.174
0.624 0.166 0.207
0.295 0.048 0.467
0.149 0.384 0.199
0.671 0.595 0.537
0.300 0.289 0.826
0.772 0.944 0.823
0.851 0.616 0.801
0.711 0.967 0.240
0.116 0.592 0.385
0.832 0.154 0.536
0.464 0.356 0.091
0.324 0.684 0.566
0.969 0.226 0.033
0.031 0.774 0.967
0.451 0.119 0.898
0.536 0.644 0.909
0.676 0.316 0.434
0.549 0.881 0.102
0.513 0.042 0.324
0.198 0.411 0.641
0.487 0.958 0.676
0.951 0.064 0.744
0.802 0.589 0.359
0.139 0.476 0.250
0.861 0.524 0.750
0.049 0.936 0.256

=====

Magnetic moment (μB/f.u.)
0.000; 0.000; 0.000; 0.000
Corrected total energy (MP2020 scheme) (eV per atom)
-7.204; -8.338; -8.333; -7.031